The following is a r2SCAN calculation of crystalline Be2CoPt at its relaxed geometry, from the Materials Project.

Computed properties:
The value obtained for the calculated total energy is -75.7 eV for the cell shown. For the calculated density, the calculation gives 11.362 g cm⁻³. The space group is No. 225. The energy of formation from the pure elements is -0.566 eV per atom.

POSCAR file:
```
Be2CoPt
1.0
0.4945 2.4598 2.8951
-2.3589 -0.0936 3.0172
1.2716 -1.2591 3.3873
Co Be Pt
1 2 1
Cartesian
-0.1482 0.2768 2.3249
0.0000 0.0000 0.0000
-0.2964 0.5536 4.6498
-0.4446 0.8303 6.9747
```



The following is a r2SCAN calculation of crystalline BeCo2Si at its relaxed geometry, from the Materials Project.

Computed properties:
The value obtained for the calculated total energy is -41.6 eV for the cell shown. For the calculated density, the calculation gives 6.890 g cm⁻³. The space group is No. 225. The energy of formation from the pure elements is -0.508 eV per atom.

POSCAR file:
```
BeCo2Si
1.0
2.6700 -0.1895 2.6291
-0.2722 2.0897 3.1042
-0.7291 -1.6291 3.3002
Co Be Si
2 1 1
Cartesian
0.0000 0.0000 0.0000
0.8344 0.1355 4.5168
0.4172 0.0678 2.2584
1.2516 0.2033 6.7752
```